# Ho2MgCuGe4O12 (PBE, relaxed)
data_Ho2MgCuGe4O12
_symmetry_space_group_name_H-M 'P -1'
_symmetry_Int_Tables_number 2
_symmetry_space_group_name_Hall '-P 1'
_cell_length_a 5.2410
_cell_length_b 7.5526
_cell_length_c 8.0988
_cell_angle_alpha 65.01
_cell_angle_beta 87.31
_cell_angle_gamma 77.50
loop_
_atom_site_label
_atom_site_type_symbol
_atom_site_fract_x
_atom_site_fract_y
_atom_site_fract_z
Ho1 Ho 0.0320 0.2756 0.4361
Mg1 Mg 0.5000 0.5000 0.0000
Cu1 Cu 0.0000 0.5000 0.0000
Ge1 Ge 0.4165 0.9041 0.7812
Ge2 Ge 0.4501 0.6651 0.2489
O1 O 0.1768 0.9407 0.6180
O2 O 0.2032 0.5750 0.3959
O3 O 0.2868 0.5117 0.7847
O4 O 0.2966 0.2906 0.2002
O5 O 0.2997 0.7749 0.0131
O6 O 0.4189 0.1693 0.6889
# E (MP2020) (Ry per atom): -0.519

***

# Ho2CuGe2O8 (PBE, relaxed)
data_Ho2CuGe2O8
_symmetry_space_group_name_H-M 'C 1 m 1'
_symmetry_Int_Tables_number 8
_symmetry_space_group_name_Hall 'C -2y'
_cell_length_a 9.5880
_cell_length_b 15.0329
_cell_length_c 5.1413
_cell_angle_alpha 90.00
_cell_angle_beta 121.59
_cell_angle_gamma 90.00
loop_
_atom_site_label
_atom_site_type_symbol
_atom_site_fract_x
_atom_site_fract_y
_atom_site_fract_z
Ho1 Ho 0.0000 0.1200 0.0000
Ho2 Ho 0.4967 0.1206 0.5072
Cu1 Cu 0.2883 0.2071 0.8088
Ge1 Ge 0.2422 0.2894 0.2679
Ge2 Ge 0.2538 0.5000 0.2069
Ge3 Ge 0.2574 0.0000 0.8104
O1 O 0.0585 0.2657 0.2611
O2 O 0.0826 0.0000 0.8494
O3 O 0.0835 0.5000 0.8280
O4 O 0.2453 0.1706 0.1155
O5 O 0.2512 0.3304 0.9424
O6 O 0.2551 0.4079 0.4325
O7 O 0.2627 0.0939 0.6012
O8 O 0.4163 0.2587 0.6367
O9 O 0.4244 0.0000 0.1993
O10 O 0.4287 0.5000 0.1734
# E (MP2020) (Ry per atom): -0.551

***

# Ho3CuGeS7 (PBE, relaxed)
data_Ho3CuGeS7
_symmetry_space_group_name_H-M 'P 63'
_symmetry_Int_Tables_number 173
_symmetry_space_group_name_Hall 'P 6c'
_cell_length_a 9.8148
_cell_length_b 9.8148
_cell_length_c 5.8472
_cell_angle_alpha 90.00
_cell_angle_beta 90.00
_cell_angle_gamma 120.00
loop_
_atom_site_label
_atom_site_type_symbol
_atom_site_fract_x
_atom_site_fract_y
_atom_site_fract_z
Ho1 Ho 0.1382 0.3581 0.0000
Cu1 Cu 0.0000 0.0000 0.4362
Ge1 Ge 0.3333 0.6667 0.5808
S1 S 0.0964 0.5752 0.7435
S2 S 0.1039 0.2608 0.4547
S3 S 0.3333 0.6667 0.2026
# Piezoelectric modulus e_max (C/m²): 1.8
# E (MP2020) (Ry per atom): -0.441

***

# KCu2GeS4 (PBE, relaxed)
data_KCu2GeS4
_symmetry_space_group_name_H-M 'I -4 2 m'
_symmetry_Int_Tables_number 121
_symmetry_space_group_name_Hall 'I -4 2'
_cell_length_a 6.2569
_cell_length_b 6.2569
_cell_length_c 8.6277
_cell_angle_alpha 90.00
_cell_angle_beta 90.00
_cell_angle_gamma 90.00
loop_
_atom_site_label
_atom_site_type_symbol
_atom_site_fract_x
_atom_site_fract_y
_atom_site_fract_z
K1 K 0.0000 0.0000 0.0000
Cu1 Cu 0.0000 0.5000 0.2500
Ge1 Ge 0.0000 0.0000 0.5000
S1 S 0.2006 0.2006 0.3409
# E (MP2020) (Ry per atom): -0.331